No. 1
{"formula": "TbVO3", "functional": "PBE with a Hubbard U", "state": "relaxed", "lattice_angstrom": [[-1.947, 3.091, 1.195], [-2.379, -0.339, -2.999], [-2.306, -2.258, 2.085]], "species": ["O", "V", "Tb", "O", "O"], "frac_coords": [[0.000, 0.500, 0.500], [0.500, 0.500, 0.500], [0.000, 0.000, 0.000], [0.500, 0.000, 0.500], [0.500, 0.500, 0.000]]}

=====

No. 2
{"formula": "TbVO4", "functional": "PBE with a Hubbard U", "state": "relaxed", "lattice_angstrom": [[5.775, -1.304, -1.154], [-1.929, -1.165, 5.595], [-3.279, -3.487, -3.671]], "species": ["O", "V", "Tb", "V", "O", "O", "O", "O", "Tb", "O", "O", "O"], "frac_coords": [[0.925, 0.241, 0.316], [0.750, 0.250, 0.500], [0.000, 0.000, 0.000], [0.500, 0.500, 0.000], [0.759, 0.075, 0.684], [0.390, 0.075, 0.316], [0.925, 0.610, 0.684], [0.325, 0.509, 0.184], [0.250, 0.750, 0.500], [0.860, 0.675, 0.184], [0.325, 0.140, 0.816], [0.491, 0.675, 0.816]]}

=====

No. 3
{"formula": "Tb2W3O12", "functional": "PBE with a Hubbard U", "state": "relaxed", "lattice_angstrom": [[-9.173, 3.158, -4.060], [1.672, -6.053, -8.486], [-5.001, -8.239, 4.891]], "species": ["O", "W", "O", "O", "W", "O", "O", "O", "O", "W", "W", "O", "O", "O", "O", "Tb", "O", "O", "O", "O", "O", "Tb", "O", "O", "Tb", "O", "O", "Tb", "W", "W", "O", "O", "O", "O", "Tb", "Tb", "O", "W", "O", "O", "W", "Tb", "O", "O", "O", "W", "O", "O", "W", "O", "O", "O", "O", "O", "O", "O", "O", "O", "W", "O", "O", "O", "W", "O", "O", "O", "Tb", "O"], "frac_coords": [[0.339, 0.652, 0.682], [0.997, 0.794, 0.643], [0.478, 0.306, 0.478], [0.693, 0.009, 0.523], [0.795, 0.511, 0.357], [0.668, 0.141, 0.899], [0.839, 0.848, 0.682], [0.522, 0.694, 0.478], [0.380, 0.384, 0.721], [0.003, 0.206, 0.643], [0.497, 0.706, 0.643], [0.373, 0.506, 0.310], [0.620, 0.616, 0.721], [0.832, 0.641, 0.899], [0.113, 0.617, 0.292], [0.188, 0.496, 0.738], [0.880, 0.116, 0.721], [0.120, 0.884, 0.721], [0.807, 0.509, 0.523], [0.332, 0.859, 0.899], [0.643, 0.680, 0.100], [0.812, 0.504, 0.738], [0.121, 0.171, 0.095], [0.346, 0.834, 0.306], [0.007, 0.812, 0.263], [0.613, 0.883, 0.292], [0.168, 0.359, 0.899], [0.993, 0.188, 0.263], [0.242, 0.244, 0.000], [0.705, 0.011, 0.357], [0.307, 0.991, 0.523], [0.818, 0.375, 0.904], [0.621, 0.329, 0.095], [0.873, 0.994, 0.310], [0.507, 0.688, 0.263], [0.493, 0.312, 0.263], [0.161, 0.152, 0.682], [0.258, 0.744, 0.000], [0.357, 0.320, 0.100], [0.857, 0.180, 0.100], [0.758, 0.756, 0.000], [0.688, 0.004, 0.738], [0.654, 0.166, 0.306], [0.143, 0.820, 0.100], [0.127, 0.006, 0.310], [0.742, 0.256, 0.000], [0.182, 0.625, 0.904], [0.682, 0.875, 0.904], [0.295, 0.989, 0.357], [0.879, 0.829, 0.095], [0.887, 0.383, 0.292], [0.379, 0.671, 0.095], [0.318, 0.125, 0.904], [0.387, 0.117, 0.292], [0.661, 0.348, 0.682], [0.846, 0.666, 0.306], [0.494, 0.126, 0.691], [0.994, 0.374, 0.691], [0.205, 0.489, 0.357], [0.506, 0.874, 0.691], [0.022, 0.806, 0.478], [0.193, 0.491, 0.523], [0.503, 0.294, 0.643], [0.154, 0.334, 0.306], [0.627, 0.494, 0.310], [0.978, 0.194, 0.478], [0.312, 0.996, 0.738], [0.006, 0.626, 0.691]], "polymorph_energy_kj_per_mol_fu": 43.4}

=====

No. 4
{"formula": "Tb2WO6", "functional": "PBE with a Hubbard U", "state": "relaxed", "lattice_angstrom": [[1.854, -3.454, -9.126], [8.641, 3.417, -3.508], [3.477, -4.094, 0.807]], "species": ["O", "O", "O", "O", "O", "O", "W", "O", "Tb", "O", "O", "O", "O", "O", "O", "Tb", "O", "O", "O", "O", "O", "O", "W", "W", "Tb", "O", "O", "O", "Tb", "W", "Tb", "O", "Tb", "Tb", "O", "Tb"], "frac_coords": [[0.544, 0.612, 0.521], [0.683, 0.784, 0.647], [0.062, 0.473, 0.237], [0.612, 0.544, 0.021], [0.473, 0.062, 0.737], [0.824, 0.380, 0.383], [0.494, 0.200, 0.434], [0.216, 0.317, 0.853], [0.894, 0.106, 0.250], [0.380, 0.824, 0.883], [0.176, 0.620, 0.617], [0.313, 0.840, 0.421], [0.527, 0.938, 0.263], [0.388, 0.456, 0.979], [0.924, 0.893, 0.578], [0.286, 0.056, 0.117], [0.784, 0.683, 0.147], [0.620, 0.176, 0.117], [0.840, 0.313, 0.921], [0.160, 0.687, 0.079], [0.076, 0.107, 0.422], [0.938, 0.527, 0.763], [0.506, 0.800, 0.566], [0.200, 0.494, 0.934], [0.944, 0.714, 0.383], [0.456, 0.388, 0.479], [0.317, 0.216, 0.353], [0.687, 0.160, 0.579], [0.366, 0.634, 0.250], [0.800, 0.506, 0.066], [0.056, 0.286, 0.617], [0.893, 0.924, 0.078], [0.106, 0.894, 0.750], [0.634, 0.366, 0.750], [0.107, 0.076, 0.922], [0.714, 0.944, 0.883]], "polymorph_energy_kj_per_mol_fu": 29.2}

=====

No. 5
{"formula": "Tb2WO6", "functional": "PBE with a Hubbard U", "state": "relaxed", "lattice_angstrom": [[-1.999, 3.792, -3.316], [-5.929, 1.108, 4.840], [3.660, 8.225, 7.199]], "species": ["Tb", "Tb", "O", "O", "O", "Tb", "Tb", "O", "O", "W", "O", "O", "W", "O", "W", "O", "O", "Tb", "Tb", "O", "O", "O", "O", "Tb", "O", "O", "O", "W", "O", "O", "O", "O", "O", "Tb", "O", "O"], "frac_coords": [[0.317, 0.500, 0.250], [0.262, 0.000, 0.250], [0.476, 0.851, 0.431], [0.463, 0.786, 0.729], [0.961, 0.062, 0.104], [0.738, 0.000, 0.750], [0.189, 0.203, 0.922], [0.014, 0.291, 0.229], [0.852, 0.634, 0.548], [0.746, 0.721, 0.386], [0.363, 0.510, 0.612], [0.637, 0.490, 0.388], [0.254, 0.721, 0.886], [0.476, 0.149, 0.069], [0.746, 0.279, 0.114], [0.524, 0.851, 0.931], [0.363, 0.490, 0.888], [0.683, 0.500, 0.750], [0.811, 0.797, 0.078], [0.537, 0.214, 0.271], [0.986, 0.291, 0.729], [0.524, 0.149, 0.569], [0.463, 0.214, 0.771], [0.811, 0.203, 0.422], [0.537, 0.786, 0.229], [0.039, 0.938, 0.896], [0.961, 0.938, 0.396], [0.254, 0.279, 0.614], [0.148, 0.366, 0.452], [0.852, 0.366, 0.952], [0.637, 0.510, 0.112], [0.014, 0.709, 0.271], [0.039, 0.062, 0.604], [0.189, 0.797, 0.578], [0.148, 0.634, 0.048], [0.986, 0.709, 0.771]], "polymorph_energy_kj_per_mol_fu": 0.1}

=====

No. 6
{"formula": "Tb2W3O12", "functional": "PBE with a Hubbard U", "state": "relaxed", "lattice_angstrom": [[-4.334, 6.096, -7.114], [-1.929, -8.154, -5.812], [-14.521, -9.620, 0.602]], "species": ["O", "Tb", "O", "O", "O", "O", "O", "W", "O", "O", "O", "O", "O", "O", "O", "W", "Tb", "O", "O", "O", "O", "O", "O", "Tb", "O", "O", "O", "W", "O", "O", "O", "W", "W", "W", "Tb", "O", "O", "O", "O", "O", "O", "O", "W", "O", "O", "W", "Tb", "Tb", "Tb", "Tb", "W", "O", "O", "O", "O", "W", "O", "O", "W", "O", "O", "O", "O", "W", "O", "O", "O", "O"], "frac_coords": [[0.675, 0.165, 0.912], [0.466, 0.637, 0.118], [0.023, 0.913, 0.263], [0.789, 0.524, 0.333], [0.481, 0.434, 0.737], [0.358, 0.084, 0.558], [0.523, 0.087, 0.237], [0.381, 0.747, 0.857], [0.977, 0.087, 0.737], [0.073, 0.650, 0.033], [0.424, 0.713, 0.968], [0.981, 0.566, 0.763], [0.903, 0.701, 0.867], [0.589, 0.434, 0.137], [0.142, 0.084, 0.058], [0.751, 0.974, 0.000], [0.029, 0.867, 0.882], [0.576, 0.287, 0.032], [0.597, 0.701, 0.367], [0.290, 0.799, 0.335], [0.411, 0.566, 0.863], [0.927, 0.350, 0.967], [0.858, 0.916, 0.942], [0.971, 0.133, 0.118], [0.711, 0.524, 0.833], [0.825, 0.165, 0.412], [0.089, 0.566, 0.363], [0.749, 0.974, 0.500], [0.573, 0.350, 0.467], [0.790, 0.201, 0.165], [0.924, 0.287, 0.532], [0.881, 0.535, 0.857], [0.249, 0.026, 0.000], [0.619, 0.253, 0.143], [0.471, 0.867, 0.382], [0.127, 0.178, 0.436], [0.097, 0.299, 0.133], [0.373, 0.178, 0.936], [0.519, 0.566, 0.263], [0.657, 0.996, 0.581], [0.157, 0.004, 0.919], [0.427, 0.650, 0.533], [0.119, 0.747, 0.357], [0.343, 0.004, 0.419], [0.076, 0.713, 0.468], [0.251, 0.026, 0.500], [0.529, 0.133, 0.618], [0.034, 0.637, 0.618], [0.534, 0.363, 0.882], [0.966, 0.363, 0.382], [0.119, 0.465, 0.143], [0.627, 0.822, 0.064], [0.325, 0.835, 0.088], [0.710, 0.201, 0.665], [0.210, 0.799, 0.835], [0.619, 0.535, 0.357], [0.019, 0.434, 0.237], [0.403, 0.299, 0.633], [0.881, 0.253, 0.643], [0.175, 0.835, 0.588], [0.843, 0.996, 0.081], [0.211, 0.476, 0.667], [0.477, 0.913, 0.763], [0.381, 0.465, 0.643], [0.873, 0.822, 0.564], [0.289, 0.476, 0.167], [0.642, 0.916, 0.442], [0.911, 0.434, 0.637]], "polymorph_energy_kj_per_mol_fu": 0.0}

=====

No. 7
{"formula": "Tb2WO6", "functional": "PBE with a Hubbard U", "state": "relaxed", "lattice_angstrom": [[5.633, 0.000, 0.000], [0.000, 10.671, 0.000], [0.000, 0.000, 16.214]], "species": ["O", "O", "O", "Tb", "O", "O", "O", "W", "O", "O", "Tb", "Tb", "O", "Tb", "O", "W", "O", "Tb", "O", "O", "O", "O", "O", "O", "W", "O", "O", "O", "O", "Tb", "O", "O", "O", "O", "O", "O", "Tb", "O", "O", "O", "O", "Tb", "O", "O", "W", "O", "O", "O", "Tb", "W", "O", "Tb", "O", "Tb", "O", "O", "O", "W", "O", "O", "Tb", "W", "O", "Tb", "O", "O", "W", "Tb", "O", "Tb", "O", "Tb"], "frac_coords": [[0.817, 0.559, 0.269], [0.594, 0.011, 0.393], [0.419, 0.284, 0.022], [0.051, 0.145, 0.769], [0.877, 0.042, 0.572], [0.419, 0.784, 0.478], [0.324, 0.230, 0.853], [0.389, 0.879, 0.380], [0.623, 0.542, 0.428], [0.877, 0.542, 0.928], [0.101, 0.358, 0.938], [0.399, 0.358, 0.438], [0.406, 0.989, 0.607], [0.101, 0.858, 0.562], [0.683, 0.059, 0.731], [0.389, 0.379, 0.120], [0.081, 0.284, 0.522], [0.551, 0.855, 0.731], [0.906, 0.011, 0.893], [0.676, 0.770, 0.147], [0.094, 0.989, 0.107], [0.317, 0.941, 0.269], [0.841, 0.769, 0.829], [0.406, 0.489, 0.893], [0.889, 0.121, 0.120], [0.123, 0.958, 0.428], [0.176, 0.230, 0.353], [0.659, 0.269, 0.171], [0.094, 0.489, 0.393], [0.051, 0.645, 0.731], [0.081, 0.784, 0.978], [0.317, 0.441, 0.231], [0.176, 0.730, 0.147], [0.919, 0.716, 0.478], [0.581, 0.716, 0.978], [0.906, 0.511, 0.607], [0.899, 0.142, 0.438], [0.659, 0.769, 0.329], [0.341, 0.731, 0.829], [0.377, 0.958, 0.928], [0.817, 0.059, 0.231], [0.399, 0.858, 0.062], [0.159, 0.731, 0.329], [0.581, 0.216, 0.522], [0.111, 0.379, 0.620], [0.824, 0.770, 0.647], [0.183, 0.441, 0.731], [0.676, 0.270, 0.353], [0.949, 0.355, 0.269], [0.611, 0.121, 0.620], [0.919, 0.216, 0.022], [0.949, 0.855, 0.231], [0.377, 0.458, 0.572], [0.899, 0.642, 0.062], [0.824, 0.270, 0.853], [0.324, 0.730, 0.647], [0.341, 0.231, 0.671], [0.111, 0.879, 0.880], [0.683, 0.559, 0.769], [0.159, 0.231, 0.171], [0.449, 0.645, 0.231], [0.611, 0.621, 0.880], [0.123, 0.458, 0.072], [0.601, 0.642, 0.562], [0.183, 0.941, 0.769], [0.623, 0.042, 0.072], [0.889, 0.621, 0.380], [0.449, 0.145, 0.269], [0.594, 0.511, 0.107], [0.601, 0.142, 0.938], [0.841, 0.269, 0.671], [0.551, 0.355, 0.769]], "polymorph_energy_kj_per_mol_fu": 1.4}

=====

No. 8
{"formula": "Tb2W3O12", "functional": "PBE with a Hubbard U", "state": "relaxed", "lattice_angstrom": [[5.768, 3.892, 0.000], [-5.768, 3.892, 0.000], [0.000, 3.858, 10.779]], "species": ["O", "O", "O", "O", "W", "W", "Tb", "O", "O", "O", "W", "Tb", "O", "O", "Tb", "O", "O", "W", "O", "O", "O", "O", "O", "O", "O", "Tb", "W", "O", "W", "O", "O", "O", "O", "O"], "frac_coords": [[0.921, 0.817, 0.964], [0.817, 0.921, 0.464], [0.548, 0.906, 0.301], [0.183, 0.079, 0.536], [0.246, 0.459, 0.048], [0.541, 0.754, 0.452], [0.289, 0.041, 0.906], [0.094, 0.452, 0.199], [0.661, 0.081, 0.893], [0.868, 0.790, 0.222], [0.132, 0.868, 0.250], [0.959, 0.711, 0.594], [0.906, 0.548, 0.801], [0.231, 0.667, 0.937], [0.041, 0.289, 0.406], [0.452, 0.094, 0.699], [0.394, 0.472, 0.425], [0.754, 0.541, 0.952], [0.472, 0.394, 0.925], [0.790, 0.868, 0.722], [0.339, 0.919, 0.107], [0.919, 0.339, 0.607], [0.081, 0.661, 0.393], [0.132, 0.210, 0.778], [0.667, 0.231, 0.437], [0.711, 0.959, 0.094], [0.459, 0.246, 0.548], [0.210, 0.132, 0.278], [0.868, 0.132, 0.750], [0.528, 0.606, 0.075], [0.769, 0.333, 0.063], [0.079, 0.183, 0.036], [0.333, 0.769, 0.563], [0.606, 0.528, 0.575]], "polymorph_energy_kj_per_mol_fu": 32.0}

=====

No. 9
{"formula": "Tb2WO6", "functional": "PBE with a Hubbard U", "state": "relaxed", "lattice_angstrom": [[5.423, 0.000, 0.000], [0.000, 5.659, 0.000], [0.000, 0.776, 8.225]], "species": ["Tb", "O", "O", "W", "O", "O", "O", "O", "Tb", "Tb", "O", "O", "W", "O", "O", "O", "O", "Tb"], "frac_coords": [[0.965, 0.984, 0.635], [0.245, 0.251, 0.527], [0.740, 0.249, 0.476], [0.064, 0.260, 0.978], [0.802, 0.513, 0.095], [0.240, 0.751, 0.524], [0.208, 0.000, 0.901], [0.302, 0.487, 0.905], [0.465, 0.016, 0.365], [0.023, 0.513, 0.365], [0.708, 0.000, 0.099], [0.745, 0.749, 0.473], [0.564, 0.740, 0.022], [0.155, 0.211, 0.196], [0.655, 0.789, 0.804], [0.330, 0.706, 0.189], [0.830, 0.294, 0.811], [0.523, 0.487, 0.635]], "polymorph_energy_kj_per_mol_fu": 64.7}

=====

| no. | DFT formation energy (eV/atom) | total DFT energy (no corrections) (eV for the cell shown) |
| --- | --- | --- |
| 1 | -2.892 | -39.262 |
| 2 | -3.210 | -96.644 |
| 3 | -2.736 | -529.870 |
| 4 | -3.272 | -291.210 |
| 5 | -3.305 | -292.415 |
| 6 | -2.762 | -531.669 |
| 7 | -3.304 | -584.728 |
| 8 | -2.743 | -265.172 |
| 9 | -3.231 | -144.869 |